Record 1
Density functional theory data (PBE) for a relaxed structure of K2NaNb3O9.

Cell lengths 4.0088, 8.1136, 13.0432 Å; angles 72.33, 90.00, 90.00 degrees
Last column: nearest neighbours and their distance in Å.
Element x y z (fractional)
O: 0.5000 0.2567 0.9847  1 Nb 1.90
O: 0.5000 0.6070 0.8302  1 Nb 1.88
K: 0.0000 0.6527 0.1686  12 O 2.76-3.05
O: 0.0000 0.0010 0.9960  2 Nb 2.02
Nb: 0.5000 0.4756 0.0097  4 O 1.88-2.02
O: 0.5000 0.7390 0.4936  1 Nb 1.89
O: 0.0000 0.6701 0.6654  2 Nb 2.02
O: 0.5000 0.0612 0.8294  1 Nb 1.88
O: 0.5000 0.5886 0.3209  1 Nb 1.92
Nb: 0.5000 0.3126 0.3438  4 O 1.88-2.02
Nb: 0.5000 0.9809 0.0116  4 O 1.88-2.02
O: 0.0000 0.5065 0.9936  2 Nb 2.02
O: 0.0000 0.1663 0.6639  2 Nb 2.02
K: 0.0000 0.4875 0.5089  11 O 2.76-3.08
O: 0.5000 0.9216 0.6532  1 Nb 1.90
Nb: 0.5000 0.8125 0.3417  4 O 1.89-2.02
O: 0.5000 0.2613 0.4946  1 Nb 1.88
Na: 0.0000 0.1404 0.1871  8 O 2.55-2.83
Nb: 0.5000 0.6484 0.6804  4 O 1.88-2.02
O: 0.5000 0.7473 0.0074  1 Nb 1.91
K: 0.0000 0.9864 0.5025  12 O 2.74-3.04
O: 0.5000 0.9398 0.1618  1 Nb 1.88
O: 0.0000 0.8404 0.3256  2 Nb 2.02
K: 0.0000 0.3190 0.8357  10 O 2.73-3.03
O: 0.5000 0.0810 0.3369  1 Nb 1.91
Na: 0.0000 0.8071 0.8543  8 O 2.56-2.82
O: 0.5000 0.4142 0.6752  1 Nb 1.92
O: 0.0000 0.3336 0.3274  2 Nb 2.02
O: 0.5000 0.3963 0.1611  1 Nb 1.88
Nb: 0.5000 0.1400 0.6780  4 O 1.88-2.02

Values from the calculation:
space-group type: Pm
total DFT energy (no corrections): -7.653 eV per atom
calculated formation energy: -274.0 kJ/mol of atoms
theoretical density: 4.30 g/cm3

***

Record 2
Density functional theory data (PBE) for a relaxed structure of Li9Sn3P8O29.

Cell lengths 10.1361, 10.1361, 14.0897 Å; angles 90.00, 90.00, 120.00 degrees
Last column: nearest neighbours and their distance in Å.
Element x y z (fractional)
Sn: 0.0000 0.5654 0.7500  6 O 2.23-2.26
P: 0.7769 0.0860 0.1530  4 O 1.52-1.62
O: 0.0095 0.7812 0.0682  1 P 1.52
O: 0.5244 0.6444 0.8426  1 P 1.55
O: 0.6444 0.5244 0.6574  1 P 1.55
O: 0.7812 0.7716 0.9318  1 P 1.52
O: 0.6444 0.1200 0.1574  1 P 1.55
O: 0.7613 0.6918 0.1517  1 P 1.55
P: 0.2231 0.9140 0.8470  4 O 1.52-1.62
O: 0.2013 0.5091 0.1532  1 P 1.58
P: 0.6909 0.9140 0.3470  4 O 1.52-1.62
Li: 0.2293 0.8987 0.0621  4 O 1.93-2.16
P: 0.6667 0.3333 0.3849  4 O 1.50-1.58
O: 0.8800 0.3556 0.6574  1 P 1.55
O: 0.3333 0.6667 0.5084  1 P 1.50
O: 0.3556 0.8800 0.8426  1 P 1.55
Li: 0.0000 0.0000 0.0000  6 O 2.46
Li: 0.1013 0.3306 0.0621  4 O 1.93-2.16
O: 0.0695 0.3082 0.3483  1 P 1.55
Li: 0.2293 0.3306 0.5621  4 O 1.93-2.16
Li: 0.6694 0.7707 0.0621  4 O 1.93-2.16
O: 0.5091 0.2013 0.3468  1 P 1.58
Li: 0.8987 0.6694 0.9379  4 O 1.93-2.16
P: 0.3091 0.2231 0.1530  4 O 1.52-1.62
O: 0.7987 0.3078 0.3468  1 P 1.58
Li: 0.3333 0.6667 0.3812  1 O 1.79
O: 0.4909 0.6922 0.1532  1 P 1.58
O: 0.6667 0.3333 0.4916  1 P 1.50
O: 0.7613 0.0695 0.6517  1 P 1.55
Li: 0.3306 0.2293 0.9379  4 O 1.93-2.16
Li: 0.6667 0.3333 0.6188  1 O 1.79
P: 0.2231 0.3091 0.3470  4 O 1.52-1.62
O: 0.3333 0.6667 0.0084  1 P 1.50
O: 0.9305 0.2387 0.1517  1 P 1.55
Li: 0.0000 0.0000 0.5000  6 O 2.46
O: 0.2387 0.9305 0.3483  1 P 1.55
O: 0.2284 0.0095 0.9318  1 P 1.52
O: 0.7716 0.7812 0.5682  1 P 1.52
O: 0.2222 0.0000 0.7500  2 P 1.62
Li: 0.7707 0.6694 0.4379  4 O 1.93-2.16
O: 0.3082 0.2387 0.6517  1 P 1.55
O: 0.0000 0.7778 0.2500  2 P 1.62
O: 0.2013 0.6922 0.6532  1 P 1.58
Sn: 0.4346 0.4346 0.7500  6 O 2.23-2.26
O: 0.7987 0.4909 0.8468  1 P 1.58
O: 0.7812 0.0095 0.4318  1 P 1.52
O: 0.3556 0.4756 0.3426  1 P 1.55
P: 0.6667 0.3333 0.8849  4 O 1.50-1.58
P: 0.9140 0.2231 0.6530  4 O 1.52-1.62
Sn: 0.4346 0.0000 0.2500  6 O 2.23-2.26
O: 0.5091 0.3078 0.8468  1 P 1.58
O: 0.0000 0.2222 0.7500  2 P 1.62
Sn: 0.5654 0.5654 0.2500  6 O 2.23-2.26
P: 0.3333 0.6667 0.1151  4 O 1.50-1.58
O: 0.3082 0.0695 0.1517  1 P 1.55
P: 0.6909 0.7769 0.8470  4 O 1.52-1.62
O: 0.9905 0.2188 0.9318  1 P 1.52
P: 0.0860 0.3091 0.8470  4 O 1.52-1.62
O: 0.6667 0.3333 0.9916  1 P 1.50
Sn: 0.0000 0.4346 0.2500  6 O 2.23-2.26
Li: 0.7707 0.1013 0.9379  4 O 1.93-2.16
O: 0.6922 0.4909 0.3468  1 P 1.58
Li: 0.3333 0.6667 0.8812  1 O 1.79
O: 0.2284 0.2188 0.4318  1 P 1.52
P: 0.9140 0.6909 0.1530  4 O 1.52-1.62
P: 0.3333 0.6667 0.6151  4 O 1.50-1.58
O: 0.4756 0.3556 0.1574  1 P 1.55
Li: 0.6694 0.8987 0.5621  4 O 1.93-2.16
O: 0.3078 0.5091 0.6532  1 P 1.58
P: 0.0860 0.7769 0.3470  4 O 1.52-1.62
O: 0.0695 0.7613 0.8483  1 P 1.55
Sn: 0.5654 0.0000 0.7500  6 O 2.23-2.26
O: 0.4909 0.7987 0.6532  1 P 1.58
O: 0.7778 0.7778 0.7500  2 P 1.62
P: 0.7769 0.6909 0.6530  4 O 1.52-1.62
Li: 0.8987 0.2293 0.4379  4 O 1.93-2.16
O: 0.6918 0.7613 0.3483  1 P 1.55
O: 0.4756 0.1200 0.6574  1 P 1.55
O: 0.0095 0.2284 0.5682  1 P 1.52
P: 0.3091 0.0860 0.6530  4 O 1.52-1.62
O: 0.2222 0.2222 0.2500  2 P 1.62
O: 0.6922 0.2013 0.8468  1 P 1.58
Li: 0.6667 0.3333 0.1188  1 O 1.79
O: 0.6918 0.9305 0.8483  1 P 1.55
O: 0.1200 0.6444 0.3426  1 P 1.55
O: 0.7716 0.9905 0.0682  1 P 1.52
O: 0.9305 0.6918 0.6517  1 P 1.55
O: 0.2188 0.9905 0.5682  1 P 1.52
O: 0.1200 0.4756 0.8426  1 P 1.55
O: 0.9905 0.7716 0.4318  1 P 1.52
O: 0.2188 0.2284 0.0682  1 P 1.52
O: 0.8800 0.5244 0.1574  1 P 1.55
O: 0.2387 0.3082 0.8483  1 P 1.55
Li: 0.3306 0.1013 0.4379  4 O 1.93-2.16
O: 0.7778 0.0000 0.2500  2 P 1.62
O: 0.5244 0.8800 0.3426  1 P 1.55
O: 0.3078 0.7987 0.1532  1 P 1.58
Li: 0.1013 0.7707 0.5621  4 O 1.93-2.16

Values from the calculation:
space-group type: P-3c1
total DFT energy (no corrections): -6.543 eV per atom
calculated formation energy: -245.2 kJ/mol of atoms
theoretical density: 2.99 g/cm3

***

Record 3
Density functional theory data (PBE) for a relaxed structure of RuPt.

Cell lengths 2.7463, 2.7463, 3.9149 Å; angles 90.00, 90.00, 90.00 degrees
Last column: nearest neighbours and their distance in Å.
Element x y z (fractional)
Pt: 0.5000 0.5000 0.5000  4 Pt 2.75, 8 Ru 2.76
Ru: 0.0000 0.0000 0.0000  4 Ru 2.75, 8 Pt 2.76

Values from the calculation:
space-group type: P4/mmm
total DFT energy (no corrections): -7.597 eV per atom
calculated formation energy: 7.3 kJ/mol of atoms
theoretical density: 16.65 g/cm3

***

Record 4
Density functional theory data (PBE) for a relaxed structure of Sr2MgCuCN2O2.

Cell lengths 3.9814, 3.9814, 9.5058 Å; angles 90.00, 90.00, 90.00 degrees
Last column: nearest neighbours and their distance in Å.
Element x y z (fractional)
O: 0.0000 0.5000 0.5000  2 Cu 1.99
Mg: 0.5000 0.5000 0.0000  4 C 2.82, 8 N 3.08, 2 Sr 3.15
N: 0.0000 0.0000 0.8679  1 C 1.26
Sr: 0.5000 0.5000 0.3313  4 O 2.56
C: 0.0000 0.0000 0.0000  2 N 1.26
Sr: 0.5000 0.5000 0.6687  4 O 2.56
N: 0.0000 0.0000 0.1321  1 C 1.26
Cu: 0.0000 0.0000 0.5000  4 O 1.99
O: 0.5000 0.0000 0.5000  2 Cu 1.99

Values from the calculation:
space-group type: P4/mmm
total DFT energy (no corrections): -5.789 eV per atom
calculated formation energy: -92.2 kJ/mol of atoms
theoretical density: 3.69 g/cm3

***

Record 5
Density functional theory data (PBE) for a relaxed structure of SrScO3.

Cell lengths 4.1399, 4.1399, 4.1399 Å; angles 90.00, 90.00, 90.00 degrees
Last column: nearest neighbours and their distance in Å.
Element x y z (fractional)
Sc: 0.5000 0.5000 0.5000  6 O 2.07
O: 0.0000 0.5000 0.5000  2 Sc 2.07
O: 0.5000 0.5000 0.0000  2 Sc 2.07
O: 0.5000 0.0000 0.5000  2 Sc 2.07
Sr: 0.0000 0.0000 0.0000  12 O 2.93

Values from the calculation:
space-group type: Pm-3m
total DFT energy (no corrections): -7.348 eV per atom
calculated formation energy: -307.5 kJ/mol of atoms
theoretical density: 4.23 g/cm3

***

Record 6
Density functional theory data (PBE) for a relaxed structure of CsH3CN2O.

Cell lengths 6.5194, 7.2563, 9.3315 Å; angles 90.00, 90.00, 90.00 degrees
Last column: nearest neighbours and their distance in Å.
Element x y z (fractional)
N: 0.3193 0.5934 0.1573  2 H 1.03
H: 0.3200 0.7602 0.9375  1 N 1.03
Cs: 0.1676 0.0730 0.1370  3 O 3.02-3.14, 4 H 3.06-3.34
Cs: 0.8324 0.5730 0.3630  3 O 3.02-3.14, 4 H 3.06-3.34
N: 0.6807 0.0934 0.3427  2 H 1.03
H: 0.0541 0.3239 0.6423  1 N 1.03
N: 0.1807 0.4066 0.6573  2 H 1.03
C: 0.3228 0.4258 0.5477  1 O 1.29, 2 N 1.34-1.39
H: 0.1800 0.2398 0.4375  1 N 1.03
N: 0.8054 0.1748 0.5726  1 H 1.03
C: 0.1772 0.5742 0.0477  1 O 1.29, 2 N 1.34-1.39
H: 0.8200 0.7398 0.0625  1 N 1.03
O: 0.4717 0.5400 0.5682  1 C 1.29
C: 0.6772 0.9258 0.9523  1 O 1.29, 2 N 1.34-1.39
H: 0.3114 0.5081 0.2452  1 N 1.03
H: 0.5541 0.1761 0.3577  1 N 1.03
O: 0.9717 0.9600 0.4318  1 C 1.29
Cs: 0.6676 0.4270 0.8630  3 O 3.02-3.14, 4 H 3.06-3.34
N: 0.1946 0.6748 0.9274  1 H 1.03
H: 0.8114 0.9919 0.7548  1 N 1.03
N: 0.3054 0.3252 0.4274  1 H 1.03
H: 0.6886 0.0081 0.2548  1 N 1.03
O: 0.5283 0.0400 0.9318  1 C 1.29
N: 0.8193 0.9066 0.8427  2 H 1.03
Cs: 0.3324 0.9270 0.6370  3 O 3.02-3.14, 4 H 3.06-3.34
N: 0.6946 0.8252 0.0726  1 H 1.03
H: 0.9459 0.8239 0.8577  1 N 1.03
C: 0.8228 0.0742 0.4523  1 O 1.29, 2 N 1.34-1.39
O: 0.0283 0.4600 0.0682  1 C 1.29
H: 0.4459 0.6761 0.1423  1 N 1.03
H: 0.6800 0.2602 0.5625  1 N 1.03
H: 0.1886 0.4919 0.7452  1 N 1.03

Values from the calculation:
space-group type: P2_12_12_1
total DFT energy (no corrections): -5.893 eV per atom
calculated formation energy: -71.2 kJ/mol of atoms
theoretical density: 2.89 g/cm3

***

Q: Which value of total DFT energy (no corrections) does entry 4 give?
A: -5.789 eV per atom

***

Q: The highest theoretical density belongs to which entry?
A: RuPt

***

Q: Number 1 is which compound?
A: K2NaNb3O9

***

Q: Look up the theoretical density of the second one.
A: 2.99 g/cm3